# Li2TeS3

Li2TeS3 after structural relaxation (r²SCAN, Materials Project).

Lattice parameters (Å, degrees): 5.390 11.515 7.870 90.00 91.49 90.00
Fractional positions:
1 Li 0.240 0.087 0.370
2 Li 0.240 0.413 0.870
3 Li 0.259 0.729 0.354
4 Li 0.259 0.771 0.854
5 Li 0.741 0.229 0.146
6 Li 0.741 0.271 0.646
7 Li 0.760 0.587 0.130
8 Li 0.760 0.913 0.630
9 Te 0.281 0.087 0.817
10 Te 0.281 0.413 0.317
11 Te 0.719 0.587 0.683
12 Te 0.719 0.913 0.183
13 S 0.232 0.244 0.622
14 S 0.232 0.256 0.122
15 S 0.255 0.573 0.130
16 S 0.255 0.927 0.630
17 S 0.281 0.598 0.637
18 S 0.281 0.902 0.137
19 S 0.719 0.098 0.863
20 S 0.719 0.402 0.363
21 S 0.745 0.073 0.370
22 S 0.745 0.427 0.870
23 S 0.768 0.744 0.878
24 S 0.768 0.756 0.378


# BaCu2P4

BaCu2P4 after structural relaxation (r²SCAN, Materials Project).

Lattice parameters (Å, degrees): 10.760 9.848 5.796 82.56 65.16 32.28
Fractional positions:
1 Ba 0.125 0.125 0.125
2 Ba 0.875 0.875 0.875
3 Cu 0.253 0.253 0.497
4 Cu 0.497 0.497 0.253
5 Cu 0.503 0.503 0.747
6 Cu 0.747 0.747 0.503
7 P 0.172 0.687 0.198
8 P 0.198 0.444 0.172
9 P 0.313 0.828 0.556
10 P 0.444 0.198 0.687
11 P 0.556 0.802 0.313
12 P 0.687 0.172 0.444
13 P 0.802 0.556 0.828
14 P 0.828 0.313 0.802


# KNa4FeO4

KNa4FeO4 after structural relaxation (r²SCAN, Materials Project).

Lattice parameters (Å, degrees): 5.947 18.685 10.437 90.00 90.00 90.00
Fractional positions:
1 K 0.090 0.004 0.155
2 K 0.090 0.496 0.655
3 K 0.410 0.504 0.155
4 K 0.410 0.996 0.655
5 K 0.590 0.004 0.345
6 K 0.590 0.496 0.845
7 K 0.910 0.504 0.345
8 K 0.910 0.996 0.845
9 Na 0.075 0.748 0.076
10 Na 0.075 0.752 0.576
11 Na 0.081 0.677 0.326
12 Na 0.081 0.823 0.826
13 Na 0.091 0.067 0.444
14 Na 0.091 0.433 0.944
15 Na 0.099 0.144 0.697
16 Na 0.099 0.356 0.197
17 Na 0.401 0.644 0.697
18 Na 0.401 0.856 0.197
19 Na 0.409 0.567 0.444
20 Na 0.409 0.933 0.944
21 Na 0.419 0.177 0.326
22 Na 0.419 0.323 0.826
23 Na 0.425 0.248 0.076
24 Na 0.425 0.252 0.576
25 Na 0.575 0.748 0.424
26 Na 0.575 0.752 0.924
27 Na 0.581 0.677 0.174
28 Na 0.581 0.823 0.674
29 Na 0.591 0.067 0.056
30 Na 0.591 0.433 0.556
31 Na 0.599 0.144 0.803
32 Na 0.599 0.356 0.303
33 Na 0.901 0.644 0.803
34 Na 0.901 0.856 0.303
35 Na 0.909 0.567 0.056
36 Na 0.909 0.933 0.556
37 Na 0.919 0.177 0.174
38 Na 0.919 0.323 0.674
39 Na 0.925 0.248 0.424
40 Na 0.925 0.252 0.924
41 Fe 0.197 0.129 0.962
42 Fe 0.197 0.371 0.462
43 Fe 0.303 0.629 0.962
44 Fe 0.303 0.871 0.462
45 Fe 0.697 0.129 0.538
46 Fe 0.697 0.371 0.038
47 Fe 0.803 0.629 0.538
48 Fe 0.803 0.871 0.038
49 O 0.120 0.626 0.539
50 O 0.120 0.874 0.039
51 O 0.165 0.549 0.885
52 O 0.165 0.951 0.385
53 O 0.206 0.636 0.135
54 O 0.206 0.864 0.635
55 O 0.213 0.711 0.869
56 O 0.213 0.789 0.369
57 O 0.287 0.211 0.869
58 O 0.287 0.289 0.369
59 O 0.294 0.136 0.135
60 O 0.294 0.364 0.635
61 O 0.335 0.049 0.885
62 O 0.335 0.451 0.385
63 O 0.380 0.126 0.539
64 O 0.380 0.374 0.039
65 O 0.620 0.626 0.961
66 O 0.620 0.874 0.461
67 O 0.665 0.549 0.615
68 O 0.665 0.951 0.115
69 O 0.706 0.636 0.365
70 O 0.706 0.864 0.865
71 O 0.713 0.711 0.631
72 O 0.713 0.789 0.131
73 O 0.787 0.211 0.631
74 O 0.787 0.289 0.131
75 O 0.794 0.136 0.365
76 O 0.794 0.364 0.865
77 O 0.835 0.049 0.615
78 O 0.835 0.451 0.115
79 O 0.880 0.126 0.961
80 O 0.880 0.374 0.461


# Cs3ErCl6

Cs3ErCl6 after structural relaxation (r²SCAN, Materials Project).

Lattice parameters (Å, degrees): 14.084 14.084 13.088 99.35 99.35 33.76
Fractional positions:
1 Cs 0.033 0.661 0.855
2 Cs 0.150 0.525 0.200
3 Cs 0.199 0.699 0.567
4 Cs 0.301 0.801 0.933
5 Cs 0.339 0.967 0.645
6 Cs 0.475 0.850 0.300
7 Cs 0.525 0.150 0.700
8 Cs 0.661 0.033 0.355
9 Cs 0.699 0.199 0.067
10 Cs 0.801 0.301 0.433
11 Cs 0.850 0.475 0.800
12 Cs 0.967 0.339 0.145
13 Er 0.000 0.500 0.500
14 Er 0.283 0.717 0.250
15 Er 0.500 0.000 0.000
16 Er 0.717 0.283 0.750
17 Cl 0.003 0.886 0.316
18 Cl 0.114 0.997 0.184
19 Cl 0.118 0.233 0.420
20 Cl 0.134 0.365 0.681
21 Cl 0.222 0.664 0.069
22 Cl 0.233 0.118 0.920
23 Cl 0.274 0.365 0.465
24 Cl 0.336 0.778 0.431
25 Cl 0.365 0.134 0.181
26 Cl 0.365 0.274 0.965
27 Cl 0.426 0.462 0.808
28 Cl 0.462 0.426 0.308
29 Cl 0.538 0.574 0.692
30 Cl 0.574 0.538 0.192
31 Cl 0.635 0.726 0.035
32 Cl 0.635 0.866 0.819
33 Cl 0.664 0.222 0.569
34 Cl 0.726 0.635 0.535
35 Cl 0.767 0.882 0.080
36 Cl 0.778 0.336 0.931
37 Cl 0.866 0.635 0.319
38 Cl 0.882 0.767 0.580
39 Cl 0.886 0.003 0.816
40 Cl 0.997 0.114 0.684


# Cu12Sb4S13

Cu12Sb4S13 after structural relaxation (r²SCAN, Materials Project).

Lattice parameters (Å, degrees): 8.919 8.919 8.919 109.47 109.47 109.47
Fractional positions:
1 Cu 0.000 0.223 0.223
2 Cu 0.000 0.777 0.777
3 Cu 0.223 0.000 0.223
4 Cu 0.223 0.223 0.000
5 Cu 0.250 0.500 0.750
6 Cu 0.250 0.750 0.500
7 Cu 0.500 0.250 0.750
8 Cu 0.500 0.750 0.250
9 Cu 0.750 0.250 0.500
10 Cu 0.750 0.500 0.250
11 Cu 0.777 0.000 0.777
12 Cu 0.777 0.777 0.000
13 Sb 0.000 0.000 0.545
14 Sb 0.000 0.545 0.000
15 Sb 0.455 0.455 0.455
16 Sb 0.545 0.000 0.000
17 S 0.000 0.000 0.000
18 S 0.000 0.248 0.482
19 S 0.000 0.482 0.248
20 S 0.233 0.752 0.752
21 S 0.248 0.000 0.482
22 S 0.248 0.482 0.000
23 S 0.482 0.000 0.248
24 S 0.482 0.248 0.000
25 S 0.518 0.518 0.767
26 S 0.518 0.767 0.518
27 S 0.752 0.233 0.752
28 S 0.752 0.752 0.233
29 S 0.767 0.518 0.518


# Ho3Sb4Pd8

Ho3Sb4Pd8 after structural relaxation (r²SCAN, Materials Project).

Lattice parameters (Å, degrees): 9.305 9.305 9.305 60.00 60.00 60.00
Fractional positions:
1 Ho 0.226 0.226 0.774
2 Ho 0.226 0.774 0.226
3 Ho 0.226 0.774 0.774
4 Ho 0.774 0.226 0.226
5 Ho 0.774 0.226 0.774
6 Ho 0.774 0.774 0.226
7 Sb 0.000 0.000 0.000
8 Sb 0.000 0.000 0.500
9 Sb 0.000 0.500 0.000
10 Sb 0.000 0.500 0.500
11 Sb 0.500 0.000 0.000
12 Sb 0.500 0.000 0.500
13 Sb 0.500 0.500 0.000
14 Sb 0.500 0.500 0.500
15 Pd 0.144 0.619 0.619
16 Pd 0.167 0.167 0.167
17 Pd 0.167 0.167 0.499
18 Pd 0.167 0.499 0.167
19 Pd 0.381 0.381 0.381
20 Pd 0.381 0.381 0.856
21 Pd 0.381 0.856 0.381
22 Pd 0.499 0.167 0.167
23 Pd 0.501 0.833 0.833
24 Pd 0.619 0.144 0.619
25 Pd 0.619 0.619 0.144
26 Pd 0.619 0.619 0.619
27 Pd 0.833 0.501 0.833
28 Pd 0.833 0.833 0.501
29 Pd 0.833 0.833 0.833
30 Pd 0.856 0.381 0.381


# CsAgBr2

CsAgBr2 after structural relaxation (r²SCAN, Materials Project).

Properties
distance to the lowest polymorph of the same formula: 0.0 kJ/mol of atoms

Lattice parameters (Å, degrees): 5.307 5.307 10.237 90.00 90.00 90.00
Fractional positions:
1 Cs 0.250 0.250 0.209
2 Cs 0.750 0.750 0.791
3 Ag 0.250 0.250 0.599
4 Ag 0.750 0.750 0.401
5 Br 0.250 0.250 0.857
6 Br 0.250 0.750 0.500
7 Br 0.750 0.250 0.500
8 Br 0.750 0.750 0.143


# Si3Bi2O9

Si3Bi2O9 after structural relaxation (r²SCAN, Materials Project).

Lattice parameters (Å, degrees): 6.806 6.806 9.523 90.00 90.00 120.00
Fractional positions:
1 Si 0.064 0.784 0.250
2 Si 0.216 0.280 0.250
3 Si 0.280 0.064 0.750
4 Si 0.720 0.936 0.250
5 Si 0.784 0.720 0.750
6 Si 0.936 0.216 0.750
7 Bi 0.333 0.667 0.528
8 Bi 0.333 0.667 0.972
9 Bi 0.667 0.333 0.028
10 Bi 0.667 0.333 0.472
11 O 0.055 0.808 0.750
12 O 0.075 0.660 0.108
13 O 0.075 0.660 0.392
14 O 0.192 0.247 0.750
15 O 0.247 0.055 0.250
16 O 0.340 0.416 0.108
17 O 0.340 0.416 0.392
18 O 0.416 0.075 0.608
19 O 0.416 0.075 0.892
20 O 0.584 0.925 0.108
21 O 0.584 0.925 0.392
22 O 0.660 0.584 0.608
23 O 0.660 0.584 0.892
24 O 0.753 0.945 0.750
25 O 0.808 0.753 0.250
26 O 0.925 0.340 0.608
27 O 0.925 0.340 0.892
28 O 0.945 0.192 0.250


no.,energy relative to the elements (eV/atom)
1,-0.797
2,-0.540
3,-1.610
4,-2.416
5,-0.299
6,-0.878
7,-1.259
8,-2.463